(1)
This record from Materials Project describes a relaxed structure of MgCd2. The functional is GGA-PBE.

Results
As for the space-group type: P-62m (189). The calculated formation energy comes out at -45 meV per atom.

Structure (CIF):
```
data_MgCd2
_chemical_formula_sum 'Mg2 Cd4'
_symmetry_space_group_name_H-M 'P 1'
_symmetry_Int_Tables_number 1
_cell_length_a 5.441
_cell_length_b 5.441
_cell_length_c 5.169
_cell_angle_alpha 90.00
_cell_angle_beta 90.00
_cell_angle_gamma 120.00
loop_
_symmetry_equiv_pos_as_xyz
'x,y,z'
loop_
_atom_site_label
_atom_site_type_symbol
_atom_site_fract_x
_atom_site_fract_y
_atom_site_fract_z
_atom_site_occupancy
Mg1 Mg 0.667 0.333 0.500 1
Mg2 Mg 0.333 0.667 0.500 1
Cd1 Cd 0.665 0.000 0.000 1
Cd2 Cd 0.000 0.000 0.500 1
Cd3 Cd 0.335 0.335 0.000 1
Cd4 Cd 0.000 0.665 0.000 1
```


(2)
This record from Materials Project describes a relaxed structure of MgCd2. The functional is GGA-PBE.

Results
As for the space-group type: Cmcm (63). The calculated formation energy comes out at -89 meV per atom.

Structure (CIF):
```
data_MgCd2
_chemical_formula_sum 'Mg2 Cd4'
_symmetry_space_group_name_H-M 'P 1'
_symmetry_Int_Tables_number 1
_cell_length_a 8.250
_cell_length_b 8.250
_cell_length_c 5.109
_cell_angle_alpha 90.00
_cell_angle_beta 90.00
_cell_angle_gamma 157.52
loop_
_symmetry_equiv_pos_as_xyz
'x,y,z'
loop_
_atom_site_label
_atom_site_type_symbol
_atom_site_fract_x
_atom_site_fract_y
_atom_site_fract_z
_atom_site_occupancy
Mg1 Mg 0.442 0.558 0.250 1
Mg2 Mg 0.558 0.442 0.750 1
Cd1 Cd 0.108 0.892 0.250 1
Cd2 Cd 0.779 0.221 0.250 1
Cd3 Cd 0.221 0.779 0.750 1
Cd4 Cd 0.892 0.108 0.750 1
```


(3)
This record from Materials Project describes a relaxed structure of MgCd2. The functional is GGA-PBE.

Results
The calculated formation energy comes out at -50 meV per atom.

Structure (CIF):
```
data_MgCd2
_chemical_formula_sum 'Mg4 Cd8'
_symmetry_space_group_name_H-M 'P 1'
_symmetry_Int_Tables_number 1
_cell_length_a 4.883
_cell_length_b 3.351
_cell_length_c 16.487
_cell_angle_alpha 90.00
_cell_angle_beta 90.00
_cell_angle_gamma 90.00
loop_
_symmetry_equiv_pos_as_xyz
'x,y,z'
loop_
_atom_site_label
_atom_site_type_symbol
_atom_site_fract_x
_atom_site_fract_y
_atom_site_fract_z
_atom_site_occupancy
Mg1 Mg 0.500 0.500 0.389 1
Mg2 Mg 0.500 0.000 0.220 1
Mg3 Mg 0.500 0.000 0.889 1
Mg4 Mg 0.500 0.500 0.720 1
Cd1 Cd 0.000 0.000 0.999 1
Cd2 Cd 0.000 0.500 0.169 1
Cd3 Cd 0.000 0.000 0.333 1
Cd4 Cd 0.500 0.500 0.057 1
Cd5 Cd 0.000 0.500 0.499 1
Cd6 Cd 0.000 0.000 0.669 1
Cd7 Cd 0.000 0.500 0.833 1
Cd8 Cd 0.500 0.000 0.557 1
```


(4)
This record from Materials Project describes a relaxed structure of MgCd2. The functional is GGA-PBE.

Results
As for the space-group type: C2/m (12). The calculated formation energy comes out at -39 meV per atom.

Structure (CIF):
```
data_MgCd2
_chemical_formula_sum 'Mg2 Cd4'
_symmetry_space_group_name_H-M 'P 1'
_symmetry_Int_Tables_number 1
_cell_length_a 6.119
_cell_length_b 6.119
_cell_length_c 7.435
_cell_angle_alpha 72.69
_cell_angle_beta 72.69
_cell_angle_gamma 30.30
loop_
_symmetry_equiv_pos_as_xyz
'x,y,z'
loop_
_atom_site_label
_atom_site_type_symbol
_atom_site_fract_x
_atom_site_fract_y
_atom_site_fract_z
_atom_site_occupancy
Mg1 Mg 0.807 0.807 0.639 1
Mg2 Mg 0.193 0.193 0.361 1
Cd1 Cd 0.140 0.140 0.975 1
Cd2 Cd 0.532 0.532 0.689 1
Cd3 Cd 0.468 0.468 0.311 1
Cd4 Cd 0.860 0.860 0.025 1
```